# PBE-GGA TbAlCu4, relaxed
data_TbAlCu4
_chemical_formula_sum 'Tb1 Al1 Cu4'
_space_group_name_H-M_alt 'P 1'
_space_group_IT_number 1
_cell_length_a 5.183
_cell_length_b 5.183
_cell_length_c 4.035
_cell_angle_alpha 90.00
_cell_angle_beta 90.00
_cell_angle_gamma 120.00
loop_
_space_group_symop_operation_xyz
'x,y,z'
loop_
_atom_site_label
_atom_site_fract_x
_atom_site_fract_y
_atom_site_fract_z
Cu1 0.501 0.499 0.500
Cu2 0.998 0.499 0.500
Tb1 0.000 0.000 0.000
Cu3 0.501 0.002 0.500
Cu4 0.667 0.333 0.000
Al1 0.333 0.667 0.000
# - Space-group type: P-6m2, No. 187
# - Energy of formation from the pure elements: -249 meV per atom
# - Calculated density: 7.78 g cm⁻³
# - Uncorrected energy: -26.27 eV per formula unit

# PBE-GGA LiDyS2, relaxed
data_LiDyS2
_chemical_formula_sum 'Li2 Dy2 S4'
_space_group_name_H-M_alt 'P 1'
_space_group_IT_number 1
_cell_length_a 6.770
_cell_length_b 6.770
_cell_length_c 6.770
_cell_angle_alpha 132.62
_cell_angle_beta 132.62
_cell_angle_gamma 69.24
loop_
_space_group_symop_operation_xyz
'x,y,z'
loop_
_atom_site_label
_atom_site_fract_x
_atom_site_fract_y
_atom_site_fract_z
Li1 0.000 0.000 0.000
S1 0.005 0.505 0.500
S2 0.745 0.745 0.000
Li2 0.750 0.250 0.500
Dy1 0.500 0.500 0.000
S3 0.255 0.255 0.000
S4 0.495 0.995 0.500
Dy2 0.250 0.750 0.500
# - Space-group type: I4_1/amd, No. 141
# - Energy of formation from the pure elements: -2091 meV per atom
# - Calculated density: 4.71 g cm⁻³
# - Uncorrected energy: -22.15 eV per formula unit

# PBE-GGA U2B6W, relaxed
data_U2B6W
_chemical_formula_sum 'U8 B24 W4'
_space_group_name_H-M_alt 'P 1'
_space_group_IT_number 1
_cell_length_a 3.685
_cell_length_b 9.281
_cell_length_c 11.383
_cell_angle_alpha 90.00
_cell_angle_beta 90.00
_cell_angle_gamma 90.00
loop_
_space_group_symop_operation_xyz
'x,y,z'
loop_
_atom_site_label
_atom_site_fract_x
_atom_site_fract_y
_atom_site_fract_z
B1 0.500 0.050 0.067
B2 0.500 0.804 0.273
B3 0.500 0.950 0.933
B4 0.500 0.744 0.424
B5 0.500 0.642 0.039
B6 0.500 0.485 0.281
B7 0.500 0.696 0.773
B8 0.500 0.196 0.727
U1 0.000 0.334 0.408
B9 0.500 0.515 0.719
B10 0.500 0.356 0.813
B11 0.500 0.256 0.576
B12 0.500 0.358 0.961
W1 0.000 0.645 0.320
B13 0.500 0.450 0.567
U2 0.000 0.456 0.105
B14 0.500 0.304 0.227
B15 0.500 0.858 0.539
B16 0.500 0.985 0.219
B17 0.500 0.015 0.781
U3 0.000 0.834 0.092
U4 0.000 0.956 0.395
B18 0.500 0.144 0.313
B19 0.500 0.756 0.924
W2 0.000 0.355 0.680
W3 0.000 0.855 0.820
B20 0.500 0.244 0.076
U5 0.000 0.166 0.908
B21 0.500 0.856 0.687
U6 0.000 0.666 0.592
B22 0.500 0.142 0.461
B23 0.500 0.644 0.187
U7 0.000 0.544 0.895
B24 0.500 0.550 0.433
W4 0.000 0.145 0.180
U8 0.000 0.044 0.605
# - Space-group type: Pbam, No. 55
# - Energy of formation from the pure elements: -550 meV per atom
# - Calculated density: 12.37 g cm⁻³
# - Uncorrected energy: -80.57 eV per formula unit

# PBE-GGA TbFe2B2, relaxed
data_TbFe2B2
_chemical_formula_sum 'Tb1 Fe2 B2'
_space_group_name_H-M_alt 'P 1'
_space_group_IT_number 1
_cell_length_a 5.366
_cell_length_b 5.366
_cell_length_c 5.366
_cell_angle_alpha 140.48
_cell_angle_beta 140.48
_cell_angle_gamma 57.12
loop_
_space_group_symop_operation_xyz
'x,y,z'
loop_
_atom_site_label
_atom_site_fract_x
_atom_site_fract_y
_atom_site_fract_z
Fe1 0.750 0.250 0.500
Fe2 0.250 0.750 0.500
B1 0.338 0.338 0.000
B2 0.662 0.662 0.000
Tb1 0.000 0.000 0.000
# - Space-group type: I4/mmm, No. 139
# - Energy of formation from the pure elements: -432 meV per atom
# - Calculated density: 7.82 g cm⁻³
# - Uncorrected energy: -37.09 eV per formula unit

# PBE-GGA Rb2UH4Se2O12, relaxed
data_Rb2UH4Se2O12
_chemical_formula_sum 'Rb8 U4 H16 Se8 O48'
_space_group_name_H-M_alt 'P 1'
_space_group_IT_number 1
_cell_length_a 13.973
_cell_length_b 12.099
_cell_length_c 7.705
_cell_angle_alpha 90.00
_cell_angle_beta 90.00
_cell_angle_gamma 90.00
loop_
_space_group_symop_operation_xyz
'x,y,z'
loop_
_atom_site_label
_atom_site_fract_x
_atom_site_fract_y
_atom_site_fract_z
O1 0.739 0.085 0.287
O2 0.246 0.476 0.641
O3 0.235 0.217 0.143
O4 0.257 0.777 0.283
H1 0.791 0.341 0.517
O5 0.121 0.606 0.404
Se1 0.830 0.615 0.234
O6 0.257 0.097 0.575
H2 0.877 0.884 0.851
O7 0.443 0.590 0.860
O8 0.743 0.903 0.075
O9 0.757 0.723 0.283
O10 0.418 0.846 0.103
Rb1 0.528 0.114 0.240
H3 0.976 0.888 0.754
H4 0.286 0.029 0.523
U1 0.751 0.903 0.400
Se2 0.813 0.191 0.231
Rb2 0.550 0.645 0.208
H5 0.709 0.841 0.017
O11 0.943 0.910 0.860
H6 0.209 0.659 0.017
U2 0.749 0.403 0.900
O12 0.057 0.090 0.360
O13 0.743 0.223 0.783
H7 0.524 0.388 0.254
U3 0.251 0.597 0.400
Rb3 0.950 0.145 0.708
O14 0.360 0.250 0.407
Se3 0.670 0.115 0.734
O15 0.261 0.915 0.787
O16 0.102 0.849 0.597
O17 0.119 0.087 0.903
Rb4 0.050 0.855 0.208
Se4 0.313 0.309 0.231
O18 0.602 0.651 0.597
O19 0.254 0.976 0.141
O20 0.381 0.587 0.403
U4 0.249 0.097 0.900
Rb5 0.028 0.386 0.240
O21 0.129 0.443 0.915
O22 0.557 0.410 0.360
O23 0.735 0.283 0.143
O24 0.640 0.750 0.907
H8 0.214 0.529 0.023
H9 0.377 0.616 0.851
O25 0.898 0.151 0.097
O26 0.243 0.597 0.075
O27 0.754 0.524 0.141
O28 0.881 0.913 0.403
O29 0.239 0.415 0.287
O30 0.879 0.394 0.904
Se5 0.687 0.691 0.731
H10 0.786 0.471 0.523
O31 0.265 0.717 0.643
O32 0.871 0.557 0.415
O33 0.619 0.413 0.903
O34 0.621 0.894 0.404
H11 0.291 0.159 0.517
Rb6 0.450 0.355 0.708
O35 0.398 0.349 0.097
Se6 0.170 0.385 0.734
Rb7 0.472 0.886 0.740
O36 0.757 0.403 0.575
O37 0.918 0.654 0.103
H12 0.123 0.116 0.351
O38 0.243 0.277 0.783
O39 0.140 0.750 0.907
Rb8 0.972 0.614 0.740
Se7 0.187 0.809 0.731
Se8 0.330 0.885 0.234
O40 0.082 0.346 0.603
H13 0.623 0.384 0.351
O41 0.765 0.783 0.643
H14 0.024 0.112 0.254
H15 0.476 0.612 0.754
O42 0.379 0.106 0.904
O43 0.761 0.585 0.787
O44 0.582 0.154 0.603
O45 0.746 0.024 0.641
O46 0.629 0.057 0.915
H16 0.714 0.971 0.023
O47 0.860 0.250 0.407
O48 0.371 0.943 0.415
# - Space-group type: Pna2_1, No. 33
# - Energy of formation from the pure elements: -1876 meV per atom
# - Calculated density: 3.89 g cm⁻³
# - Uncorrected energy: -124.35 eV per formula unit

# PBE-GGA CeMg16Al12, relaxed
data_CeMg16Al12
_chemical_formula_sum 'Ce1 Mg16 Al12'
_space_group_name_H-M_alt 'P 1'
_space_group_IT_number 1
_cell_length_a 9.267
_cell_length_b 9.267
_cell_length_c 9.267
_cell_angle_alpha 110.32
_cell_angle_beta 110.32
_cell_angle_gamma 110.32
loop_
_space_group_symop_operation_xyz
'x,y,z'
loop_
_atom_site_label
_atom_site_fract_x
_atom_site_fract_y
_atom_site_fract_z
Mg1 0.995 0.995 0.995
Al1 0.175 0.811 0.811
Mg2 0.394 0.002 0.688
Mg3 0.996 0.996 0.654
Mg4 0.315 0.315 0.716
Al2 0.185 0.364 0.000
Al3 0.000 0.364 0.185
Mg5 0.612 0.612 0.280
Mg6 0.688 0.394 0.002
Mg7 0.394 0.688 0.002
Al4 0.000 0.185 0.364
Al5 0.811 0.175 0.811
Mg8 0.996 0.654 0.996
Al6 0.185 0.000 0.364
Mg9 0.002 0.688 0.394
Ce1 0.371 0.371 0.371
Al7 0.811 0.811 0.175
Mg10 0.688 0.002 0.394
Al8 0.812 0.631 0.631
Al9 0.364 0.000 0.185
Al10 0.631 0.631 0.812
Mg11 0.716 0.315 0.315
Mg12 0.654 0.996 0.996
Mg13 0.315 0.716 0.315
Mg14 0.002 0.394 0.688
Mg15 0.612 0.280 0.612
Al11 0.364 0.185 0.000
Al12 0.631 0.812 0.631
Mg16 0.280 0.612 0.612
# - Space-group type: R3m, No. 160
# - Energy of formation from the pure elements: -58 meV per atom
# - Calculated density: 2.39 g cm⁻³
# - Uncorrected energy: -78.16 eV per formula unit

# PBE-GGA CePdRh2, relaxed
data_CePdRh2
_chemical_formula_sum 'Ce1 Pd1 Rh2'
_space_group_name_H-M_alt 'P 1'
_space_group_IT_number 1
_cell_length_a 4.161
_cell_length_b 4.161
_cell_length_c 4.006
_cell_angle_alpha 90.00
_cell_angle_beta 90.00
_cell_angle_gamma 90.00
loop_
_space_group_symop_operation_xyz
'x,y,z'
loop_
_atom_site_label
_atom_site_fract_x
_atom_site_fract_y
_atom_site_fract_z
Rh1 0.500 0.000 0.500
Rh2 0.000 0.500 0.500
Pd1 0.500 0.500 0.000
Ce1 0.000 0.000 0.000
# - Space-group type: P4/mmm, No. 123
# - Energy of formation from the pure elements: -676 meV per atom
# - Calculated density: 10.83 g cm⁻³
# - Uncorrected energy: -28.55 eV per formula unit

# PBE-GGA Li2BiBO5, relaxed
data_Li2BiBO5
_chemical_formula_sum 'Li4 Bi2 B2 O10'
_space_group_name_H-M_alt 'P 1'
_space_group_IT_number 1
_cell_length_a 6.298
_cell_length_b 6.298
_cell_length_c 4.747
_cell_angle_alpha 90.00
_cell_angle_beta 90.00
_cell_angle_gamma 90.00
loop_
_space_group_symop_operation_xyz
'x,y,z'
loop_
_atom_site_label
_atom_site_fract_x
_atom_site_fract_y
_atom_site_fract_z
O1 0.681 0.500 0.701
Li1 0.250 0.750 0.000
O2 0.319 0.500 0.701
O3 0.000 0.500 0.119
O4 0.000 0.181 0.701
O5 0.500 0.681 0.299
Li2 0.750 0.750 0.000
B1 0.000 0.000 0.500
Bi1 0.500 0.000 0.452
O6 0.000 0.819 0.701
O7 0.500 0.000 0.881
O8 0.181 0.000 0.299
O9 0.500 0.319 0.299
Li3 0.750 0.250 0.000
O10 0.819 0.000 0.299
Bi2 0.000 0.500 0.548
Li4 0.250 0.250 0.000
B2 0.500 0.500 0.500
# - Space-group type: P4/nmm, No. 129
# - Energy of formation from the pure elements: -2069 meV per atom
# - Calculated density: 5.53 g cm⁻³
# - Uncorrected energy: -54.32 eV per formula unit

# PBE-GGA NbF3, relaxed
data_NbF3
_chemical_formula_sum 'Nb1 F3'
_space_group_name_H-M_alt 'P 1'
_space_group_IT_number 1
_cell_length_a 4.195
_cell_length_b 4.195
_cell_length_c 4.195
_cell_angle_alpha 90.00
_cell_angle_beta 90.00
_cell_angle_gamma 90.00
loop_
_space_group_symop_operation_xyz
'x,y,z'
loop_
_atom_site_label
_atom_site_fract_x
_atom_site_fract_y
_atom_site_fract_z
F1 0.500 0.000 0.000
Nb1 0.000 0.000 0.000
F2 0.000 0.000 0.500
F3 0.000 0.500 0.000
# - Space-group type: Pm-3m, No. 221
# - Energy of formation from the pure elements: -2939 meV per atom
# - Calculated density: 3.37 g cm⁻³
# - Uncorrected energy: -26.22 eV per formula unit

# PBE-GGA Sm2MgPd2, relaxed
data_Sm2MgPd2
_chemical_formula_sum 'Sm4 Mg2 Pd4'
_space_group_name_H-M_alt 'P 1'
_space_group_IT_number 1
_cell_length_a 7.710
_cell_length_b 7.710
_cell_length_c 3.974
_cell_angle_alpha 90.00
_cell_angle_beta 90.00
_cell_angle_gamma 90.00
loop_
_space_group_symop_operation_xyz
'x,y,z'
loop_
_atom_site_label
_atom_site_fract_x
_atom_site_fract_y
_atom_site_fract_z
Sm1 0.328 0.828 0.500
Pd1 0.869 0.369 0.000
Sm2 0.828 0.672 0.500
Mg1 0.000 0.000 0.000
Pd2 0.369 0.131 0.000
Pd3 0.131 0.631 0.000
Sm3 0.172 0.328 0.500
Pd4 0.631 0.869 0.000
Sm4 0.672 0.172 0.500
Mg2 0.500 0.500 0.000
# - Space-group type: P4/mbm, No. 127
# - Energy of formation from the pure elements: -735 meV per atom
# - Calculated density: 7.56 g cm⁻³
# - Uncorrected energy: -25.07 eV per formula unit

# PBE-GGA Ce2YSi2, relaxed
data_Ce2YSi2
_chemical_formula_sum 'Ce4 Y2 Si4'
_space_group_name_H-M_alt 'P 1'
_space_group_IT_number 1
_cell_length_a 7.553
_cell_length_b 7.553
_cell_length_c 4.306
_cell_angle_alpha 90.00
_cell_angle_beta 90.00
_cell_angle_gamma 90.00
loop_
_space_group_symop_operation_xyz
'x,y,z'
loop_
_atom_site_label
_atom_site_fract_x
_atom_site_fract_y
_atom_site_fract_z
Ce1 0.180 0.320 0.500
Y1 0.500 0.500 0.000
Si1 0.615 0.885 0.000
Y2 0.000 0.000 0.000
Si2 0.115 0.615 0.000
Si3 0.885 0.385 0.000
Ce2 0.820 0.680 0.500
Ce3 0.320 0.820 0.500
Ce4 0.680 0.180 0.500
Si4 0.385 0.115 0.000
# - Space-group type: P4/mbm, No. 127
# - Energy of formation from the pure elements: -589 meV per atom
# - Calculated density: 5.75 g cm⁻³
# - Uncorrected energy: -32.27 eV per formula unit

# PBE-GGA Cs2Mn3S4, relaxed
data_Cs2Mn3S4
_chemical_formula_sum 'Cs2 Mn3 S4'
_space_group_name_H-M_alt 'P 1'
_space_group_IT_number 1
_cell_length_a 7.630
_cell_length_b 7.630
_cell_length_c 5.987
_cell_angle_alpha 90.00
_cell_angle_beta 90.00
_cell_angle_gamma 133.76
loop_
_space_group_symop_operation_xyz
'x,y,z'
loop_
_atom_site_label
_atom_site_fract_x
_atom_site_fract_y
_atom_site_fract_z
Cs1 0.000 0.500 0.753
Mn1 0.000 0.000 0.500
Cs2 0.500 0.000 0.247
S1 0.833 0.648 0.260
S2 0.352 0.167 0.740
S3 0.167 0.352 0.260
Mn2 0.500 0.500 0.000
S4 0.648 0.833 0.740
Mn3 0.500 0.500 0.500
# - Space-group type: C222, No. 21
# - Polymorph energy (0 for the lowest one): 34 meV per atom
# - Energy of formation from the pure elements: -987 meV per atom
# - Calculated density: 3.69 g cm⁻³
# - Uncorrected energy: -52.69 eV per formula unit

# PBE-GGA SnAs3, relaxed
data_SnAs3
_chemical_formula_sum 'Sn1 As3'
_space_group_name_H-M_alt 'P 1'
_space_group_IT_number 1
_cell_length_a 6.317
_cell_length_b 6.317
_cell_length_c 6.317
_cell_angle_alpha 143.44
_cell_angle_beta 143.44
_cell_angle_gamma 52.67
loop_
_space_group_symop_operation_xyz
'x,y,z'
loop_
_atom_site_label
_atom_site_fract_x
_atom_site_fract_y
_atom_site_fract_z
As1 0.250 0.750 0.500
As2 0.750 0.250 0.500
As3 0.500 0.500 0.000
Sn1 0.000 0.000 0.000
# - Space-group type: I4/mmm, No. 139
# - Energy of formation from the pure elements: 358 meV per atom
# - Calculated density: 6.42 g cm⁻³
# - Uncorrected energy: -16.56 eV per formula unit